## LiFePO4 (PBE with a Hubbard U)

Data for a relaxed structure of LiFePO4.

Lattice parameters (Å, degrees): 5.2514 7.8570 8.8178 81.39 90.00 90.00
Closest atoms and distances in Å follow each position.
Sites, in units of the cell vectors:
Li  0.9489  0.0017  0.1046  2 O 1.90-2.06
Li  0.5776  0.5195  0.7013  4 O 2.00-2.20
Li  0.0776  0.4805  0.2987  4 O 2.00-2.20
Li  0.4489  0.9983  0.8954  2 O 1.90-2.06
Fe  0.0312  0.8046  0.5862  4 O 2.00-2.10
Fe  0.4415  0.6443  0.0825  4 O 1.98-2.16
Fe  0.9415  0.3557  0.9175  4 O 1.98-2.16
Fe  0.5312  0.1954  0.4138  4 O 2.00-2.10
P  0.5230  0.7663  0.4143  4 O 1.55-1.57
P  0.9537  0.7167  0.9466  4 O 1.54-1.57
P  0.4537  0.2833  0.0534  4 O 1.54-1.57
P  0.0230  0.2337  0.5857  4 O 1.55-1.57
O  0.4875  0.9604  0.3566  1 P 1.55
O  0.3966  0.7162  0.5756  1 P 1.57
O  0.2087  0.8170  0.9431  1 P 1.55
O  0.7382  0.8271  0.0045  1 P 1.56
O  0.8108  0.7175  0.4278  1 P 1.56
O  0.3877  0.6610  0.3016  1 P 1.56
O  0.8906  0.6628  0.7896  1 P 1.54
O  0.9916  0.5474  0.0643  1 P 1.57
O  0.4916  0.4526  0.9357  1 P 1.57
O  0.3906  0.3372  0.2104  1 P 1.54
O  0.8877  0.3390  0.6984  1 P 1.56
O  0.3108  0.2825  0.5722  1 P 1.56
O  0.2382  0.1729  0.9955  1 P 1.56
O  0.7087  0.1830  0.0569  1 P 1.55
O  0.8966  0.2838  0.4244  1 P 1.57
O  0.9875  0.0396  0.6434  1 P 1.55

## Properties
energy relative to the lowest polymorph listed for this composition	0.082	eV/atom
size of the total moment	0.571	μB per atom
formation energy	-2398	meV per atom